one.
Density functional theory data (PBE-GGA) for an optimized crystal structure of RbCuC2.

Output
Space-group type: P4_2/mmc (131)
Total magnetization (Bohr magnetons per cell): 0.0

Structure (POSCAR):
```
RbCuC2
1.0
4.931 0.000 0.000
0.000 4.931 0.000
0.000 0.000 8.493
Rb Cu C
2 2 4
Cartesian
0.000 0.000 6.369 Rb
0.000 0.000 2.123 Rb
2.466 2.466 0.000 Cu
2.466 2.466 4.246 Cu
4.304 2.466 4.246 C
2.466 4.304 0.000 C
0.627 2.466 4.246 C
2.466 0.627 0.000 C
```

two.
Density functional theory data (PBE-GGA) for an optimized crystal structure of RbCuC2.

Output
Space-group type: P4/mmm (123)
Total magnetization (Bohr magnetons per cell): 0.0

Structure (POSCAR):
```
RbCuC2
1.0
-4.490 -0.159 -0.665
0.183 -4.535 -0.151
-0.717 -0.191 4.889
Rb Cu C
1 1 2
Cartesian
-2.512 -2.443 2.037 Rb
0.000 0.000 0.000 Cu
-0.450 -0.120 3.065 C
-0.268 -0.071 1.824 C
```

So which one is most stable? That would be one, about 0.7 kJ/mol of atoms below the next structure.

one.
Density functional theory data (PBE-GGA) for an optimized crystal structure of DyCO4.

Output
Space-group type: P2_12_12_1 (19)
Total magnetization (Bohr magnetons per cell): 4.0

Structure (POSCAR):
```
DyCO4
1.0
-3.329 -3.141 1.693
-2.395 -1.040 -6.640
5.679 -6.568 -1.019
Dy C O
4 4 16
Cartesian
-0.258 -3.230 -6.137 Dy
2.903 -7.134 -0.861 Dy
-3.242 -4.502 -1.028 Dy
0.507 -6.632 -3.909 Dy
1.521 -5.436 -6.997 C
-0.770 -2.737 0.339 C
0.305 -9.017 -2.164 C
-1.147 -4.307 -3.112 C
-4.080 -4.686 -3.102 O
1.131 -6.201 -1.796 O
1.472 -2.659 -1.588 O
1.386 -7.952 -5.448 O
-2.412 -4.604 -5.690 O
1.183 -8.272 0.482 O
-1.429 -3.276 -2.419 O
2.567 -5.346 -4.308 O
-1.826 -5.414 -2.911 O
1.461 -8.462 -2.451 O
-0.227 -1.690 -0.238 O
0.500 -5.933 -6.334 O
-0.183 -4.351 -3.980 O
3.658 -6.973 -3.167 O
-2.062 -2.837 0.294 O
-1.503 -7.337 -5.082 O
```

two.
Density functional theory data (PBE-GGA) for an optimized crystal structure of DyCO4.

Output
Space-group type: P-6 (174)
Total magnetization (Bohr magnetons per cell): 18.0

Structure (POSCAR):
```
DyCO4
1.0
-3.675 11.417 -1.487
-6.211 -9.054 -5.050
-5.439 -0.713 7.967
Dy C O
18 18 72
Cartesian
-4.081 5.261 0.697 Dy
-6.141 2.030 -0.998 Dy
-7.524 5.940 -1.592 Dy
-6.730 4.913 4.577 Dy
-8.790 1.683 2.882 Dy
-10.173 5.593 2.288 Dy
-5.300 8.895 -0.015 Dy
-2.842 1.447 0.996 Dy
-9.319 2.926 -3.293 Dy
-8.139 8.523 4.144 Dy
-5.681 1.075 5.155 Dy
-12.158 2.553 0.866 Dy
-7.097 -4.757 -2.247 Dy
-8.300 -0.795 -2.713 Dy
-4.902 -1.690 -0.474 Dy
-9.735 -5.103 1.618 Dy
-10.938 -1.141 1.151 Dy
-7.540 -2.036 3.391 Dy
-10.737 1.362 -1.336 C
-4.036 -1.960 2.942 C
-9.483 -7.162 -1.243 C
-6.940 6.319 1.700 C
-5.879 2.791 2.108 C
-8.900 3.599 0.118 C
-9.783 -3.119 -1.085 C
-7.693 -0.522 0.574 C
-6.780 -4.119 0.875 C
-8.438 1.062 -5.665 C
-1.596 -0.807 -1.162 C
-6.063 -6.946 -4.760 C
-7.226 -1.958 -5.108 C
-4.321 -0.433 -2.989 C
-4.550 -4.300 -3.491 C
-3.557 6.460 -1.850 C
-3.618 2.571 -2.239 C
-6.387 4.748 -3.935 C
-11.114 2.592 -1.483 O
-6.654 9.182 2.152 O
-3.952 0.935 3.258 O
-9.914 0.865 -2.189 O
-3.904 -1.759 1.679 O
-8.534 -6.618 -1.917 O
-11.183 0.699 -0.329 O
-5.173 -1.926 3.539 O
-9.803 -6.784 -0.057 O
-6.066 5.521 2.225 O
-6.852 2.311 1.402 O
-8.802 4.877 0.300 O
-6.729 6.792 0.515 O
-4.770 3.106 1.522 O
-8.315 3.061 -0.901 O
-7.999 6.626 2.376 O
-6.040 2.939 3.383 O
-9.585 2.895 0.959 O
-9.568 -1.871 -0.827 O
-6.894 -1.426 1.038 O
-7.794 -4.464 0.152 O
-9.259 -3.652 -2.140 O
-7.454 0.008 -0.580 O
-5.647 -3.869 0.307 O
-10.522 -3.817 -0.289 O
-8.718 -0.158 1.271 O
-6.910 -4.034 2.158 O
-8.289 2.329 -5.450 O
-4.428 9.765 -2.149 O
-0.844 1.685 -0.425 O
-13.313 -0.180 1.266 O
-6.806 -1.029 5.632 O
-10.386 -7.372 2.620 O
-9.146 0.366 -4.838 O
-2.639 -0.482 -0.472 O
-6.219 -6.825 -3.483 O
-6.593 -0.949 -4.586 O
-3.884 -1.644 -2.799 O
-5.620 -4.099 -4.203 O
-12.330 -3.045 1.673 O
-9.309 -0.495 3.963 O
-8.855 -5.040 3.867 O
-8.171 -2.499 -4.420 O
-5.150 0.051 -2.130 O
-4.695 -4.494 -2.226 O
-3.120 5.257 -1.659 O
-4.682 2.768 -2.948 O
-5.759 5.754 -3.416 O
-8.549 6.408 5.110 O
-7.920 1.823 5.129 O
-11.503 3.658 2.847 O
-4.380 6.955 -0.996 O
-3.752 2.370 -0.977 O
-7.335 4.205 -3.259 O
-5.847 4.419 -0.731 O
-8.633 4.054 3.349 O
-1.392 -0.183 2.040 O
-4.046 -0.531 5.927 O
-6.715 -2.407 -1.886 O
-9.455 -2.767 2.128 O
-2.320 3.765 1.015 O
-7.547 1.434 -2.762 O
-6.837 8.168 -1.675 O
-5.664 3.327 5.914 O
-10.891 0.996 2.137 O
-10.181 7.729 3.224 O
-5.906 -6.330 -0.963 O
-10.360 -1.538 -3.575 O
-4.881 0.514 0.349 O
-7.978 -6.602 2.071 O
-12.432 -1.809 -0.540 O
-6.953 0.243 3.384 O
```

So which one is most stable? That would be two, about 4.4 kJ/mol of atoms below the next structure.

one.
Density functional theory data (PBE-GGA) for an optimized crystal structure of Er2Mo2C3.

Output
Space-group type: C2/m (12)
Total magnetization (Bohr magnetons per cell): 0.0

Structure (POSCAR):
```
Er2Mo2C3
1.0
1.692 5.647 0.000
-1.692 5.647 0.000
0.000 1.788 5.380
Er Mo C
2 2 3
Cartesian
0.000 5.820 4.404 Er
0.000 7.261 0.976 Er
0.000 2.808 3.380 Mo
0.000 10.273 2.000 Mo
0.000 0.894 2.690 C
0.000 9.553 4.004 C
0.000 3.528 1.376 C
```

two.
Density functional theory data (PBE-GGA) for an optimized crystal structure of Er2Mo2C3.

Output
Space-group type: C2/m (12)

Structure (POSCAR):
```
Er2Mo2C3
1.0
1.664 5.822 0.000
-1.664 5.822 0.000
0.000 2.116 5.281
Er Mo C
2 2 3
Cartesian
0.000 7.476 0.914 Er
0.000 6.284 4.367 Er
0.000 10.511 1.725 Mo
0.000 3.249 3.556 Mo
0.000 3.444 1.397 C
0.000 10.317 3.884 C
0.000 0.000 0.000 C
```

So which one is most stable? That would be two, about 3.3 kJ/mol of atoms below the next structure.

one.
Density functional theory data (PBE-GGA) for an optimized crystal structure of Er5Si3C.

Output
Space-group type: P6_3/mcm (193)
Total magnetization (Bohr magnetons per cell): 0.3

Structure (POSCAR):
```
Er5Si3C
1.0
8.393 0.000 0.000
-4.196 7.268 0.000
0.000 0.000 6.285
Er Si C
10 6 2
Cartesian
4.196 2.423 0.000 Er
0.000 4.846 0.000 Er
0.000 4.846 3.142 Er
4.196 2.423 3.142 Er
3.256 5.639 4.714 Er
1.881 0.000 4.714 Er
-0.941 1.629 4.714 Er
0.941 1.629 1.571 Er
6.512 0.000 1.571 Er
-3.256 5.639 1.571 Er
1.705 2.953 4.714 Si
4.983 0.000 4.714 Si
-2.492 4.316 4.714 Si
2.492 4.316 1.571 Si
3.410 0.000 1.571 Si
-1.705 2.953 1.571 Si
0.000 0.000 0.000 C
0.000 0.000 3.142 C
```

two.
Density functional theory data (PBE-GGA) for an optimized crystal structure of Er5Si3C.

Output
Space-group type: P-3m1 (164)
Total magnetization (Bohr magnetons per cell): 0.0

Structure (POSCAR):
```
Er5Si3C
1.0
14.605 0.000 0.000
-7.303 12.649 0.000
0.000 0.000 18.861
Er Si C
90 54 18
Cartesian
1.712 0.989 14.323 Er
9.015 5.205 7.676 Er
1.771 9.455 1.760 Er
5.671 11.707 17.307 Er
0.000 6.245 7.899 Er
2.478 4.127 3.152 Er
5.387 5.322 14.107 Er
0.000 6.565 14.274 Er
4.856 8.411 0.000 Er
-2.490 12.566 15.709 Er
12.893 0.989 14.323 Er
9.637 8.439 3.152 Er
7.303 6.084 4.587 Er
9.660 0.000 9.430 Er
-2.447 4.238 0.000 Er
-4.830 8.366 9.430 Er
1.712 7.444 11.185 Er
-5.671 11.707 17.307 Er
7.303 6.262 17.101 Er
0.000 1.977 4.537 Er
5.573 11.650 10.817 Er
7.303 10.671 14.323 Er
9.712 0.000 0.000 Er
7.303 2.239 7.676 Er
-1.618 9.366 14.274 Er
-5.573 11.650 10.817 Er
5.591 5.205 7.676 Er
12.974 0.942 1.553 Er
-1.771 9.455 1.760 Er
2.352 4.092 6.271 Er
5.408 3.122 10.962 Er
2.447 4.238 0.000 Er
-4.856 8.411 0.000 Er
4.830 8.366 9.430 Er
2.335 4.210 15.709 Er
4.951 8.557 12.590 Er
-5.590 11.660 4.537 Er
1.709 7.446 17.367 Er
2.473 4.283 9.430 Er
1.618 9.366 14.274 Er
0.000 1.998 10.817 Er
12.127 4.127 3.152 Er
5.590 11.660 4.537 Er
9.197 3.122 10.962 Er
-1.895 9.526 7.899 Er
0.000 6.387 1.760 Er
7.303 10.765 1.553 Er
-2.352 4.092 6.271 Er
12.238 4.083 12.590 Er
1.730 0.999 8.044 Er
-1.709 7.446 17.367 Er
-2.335 4.210 15.709 Er
4.935 8.566 6.271 Er
4.824 8.522 15.709 Er
1.895 9.526 7.899 Er
9.886 0.009 12.590 Er
5.685 3.282 4.587 Er
2.368 4.083 12.590 Er
-1.712 7.444 11.185 Er
12.875 0.999 8.044 Er
7.303 6.404 10.962 Er
-4.935 8.566 6.271 Er
1.632 0.942 1.553 Er
4.893 0.000 0.000 Er
7.303 2.243 1.494 Er
-2.473 4.283 9.430 Er
0.000 10.645 4.754 Er
-2.583 12.639 6.271 Er
9.219 5.322 14.107 Er
5.531 3.194 17.101 Er
4.968 8.439 3.152 Er
4.945 0.000 9.430 Er
0.000 10.405 17.367 Er
0.000 1.884 17.307 Er
2.583 12.639 6.271 Er
9.011 5.203 1.494 Er
9.655 8.557 12.590 Er
0.000 10.409 11.185 Er
5.594 5.203 1.494 Er
8.920 3.282 4.587 Er
-4.824 8.522 15.709 Er
9.074 3.194 17.101 Er
7.303 10.651 8.044 Er
7.303 2.004 14.107 Er
4.813 0.083 3.152 Er
4.720 0.009 12.590 Er
-1.916 7.326 4.754 Er
1.916 7.326 4.754 Er
9.793 0.083 3.152 Er
2.490 12.566 15.709 Er
0.000 5.067 10.945 Si
11.690 1.683 4.679 Si
4.387 10.965 14.182 Si
0.000 11.759 7.780 Si
2.881 6.769 7.780 Si
10.227 2.528 14.187 Si
-2.910 6.752 14.138 Si
7.303 0.856 4.723 Si
0.000 3.367 14.182 Si
4.388 2.534 7.915 Si
7.303 7.586 1.492 Si
10.205 5.892 17.240 Si
0.000 5.062 17.369 Si
-4.429 10.990 7.913 Si
4.366 10.953 1.684 Si
2.937 1.696 17.177 Si
7.303 9.282 4.679 Si
4.393 5.896 4.723 Si
2.873 1.659 10.948 Si
0.000 3.318 7.913 Si
7.303 9.257 17.177 Si
-2.902 6.757 1.621 Si
10.217 2.534 7.915 Si
2.916 1.683 4.679 Si
7.303 7.592 14.187 Si
0.000 5.056 4.673 Si
2.910 6.752 14.138 Si
10.183 5.879 11.081 Si
-4.387 10.965 14.182 Si
7.303 0.865 17.240 Si
0.000 3.391 1.684 Si
-2.881 6.769 7.780 Si
0.000 11.793 14.138 Si
7.303 7.582 7.915 Si
-2.915 10.115 10.945 Si
-2.919 10.117 17.369 Si
4.422 5.879 11.081 Si
7.303 9.331 10.948 Si
10.213 5.896 4.723 Si
7.303 0.890 11.081 Si
4.384 2.531 1.492 Si
4.429 10.990 7.913 Si
2.924 10.121 4.673 Si
-4.366 10.953 1.684 Si
2.919 10.117 17.369 Si
4.379 2.528 14.187 Si
2.915 10.115 10.945 Si
4.400 5.892 17.240 Si
11.668 1.696 17.177 Si
-2.924 10.121 4.673 Si
10.221 2.531 1.492 Si
11.732 1.659 10.948 Si
0.000 11.784 1.621 Si
2.902 6.757 1.621 Si
3.651 6.324 9.430 C
7.303 4.216 2.911 C
0.000 0.000 15.606 C
0.000 8.432 3.153 C
0.000 0.000 3.254 C
7.303 4.216 15.708 C
3.651 6.324 0.000 C
0.000 8.432 4.505 C
0.000 0.000 0.000 C
0.000 8.432 15.949 C
-3.651 6.324 9.430 C
0.000 8.432 12.592 C
7.303 0.000 0.000 C
7.303 4.216 14.356 C
7.303 0.000 9.430 C
0.000 0.000 9.430 C
-3.651 6.324 0.000 C
7.303 4.216 6.269 C
```

So which one is most stable? That would be one, about 3.9 kJ/mol of atoms below the next structure.